# 1
# Tb3Cu4Si4

A relaxed structure of Tb3Cu4Si4 (PBE-GGA, the Materials Project).

Values from the calculation:
ΔH_f (0 K)   -0.61 eV per atom
Calculated volume   188 Å³/cell
Energy   -5.363 eV/atom

```
data_Tb3Cu4Si4
_space_group_name_H-M_alt 'P 1'
_space_group_IT_number 1
_cell_length_a 4.159
_cell_length_b 6.558
_cell_length_c 7.904
_cell_angle_alpha 114.51
_cell_angle_beta 105.25
_cell_angle_gamma 90.00
loop_
_space_group_symop_operation_xyz
'x,y,z'
loop_
_atom_site_label
_atom_site_type_symbol
_atom_site_fract_x
_atom_site_fract_y
_atom_site_fract_z
_atom_site_occupancy
Si1 Si 0.500 0.184 0.000 1
Tb1 Tb 0.130 0.130 0.260 1
Cu1 Cu 0.332 0.522 0.664 1
Cu2 Cu 0.332 0.142 0.664 1
Tb2 Tb 0.000 0.500 0.000 1
Si2 Si 0.216 0.716 0.432 1
Cu3 Cu 0.668 0.478 0.336 1
Si3 Si 0.500 0.816 0.000 1
Cu4 Cu 0.668 0.858 0.336 1
Si4 Si 0.784 0.284 0.568 1
Tb3 Tb 0.870 0.870 0.740 1
```



# 2
# RbMg14W

A relaxed structure of RbMg14W (PBE-GGA, the Materials Project).

Values from the calculation:
ΔH_f (0 K)   0.33 eV per atom
Calculated volume   379 Å³/cell
Energy   -1.944 eV/atom

```
data_RbMg14W
_space_group_name_H-M_alt 'P 1'
_space_group_IT_number 1
_cell_length_a 6.445
_cell_length_b 6.676
_cell_length_c 10.288
_cell_angle_alpha 90.00
_cell_angle_beta 90.00
_cell_angle_gamma 121.20
loop_
_space_group_symop_operation_xyz
'x,y,z'
loop_
_atom_site_label
_atom_site_type_symbol
_atom_site_fract_x
_atom_site_fract_y
_atom_site_fract_z
_atom_site_occupancy
Mg1 Mg 0.330 0.686 0.376 1
Mg2 Mg 0.845 0.673 0.891 1
Mg3 Mg 0.817 0.159 0.393 1
Mg4 Mg 0.662 0.836 0.125 1
Mg5 Mg 0.330 0.686 0.874 1
Mg6 Mg 0.173 0.337 0.625 1
Mg7 Mg 0.667 0.341 0.625 1
Mg8 Mg 0.667 0.826 0.625 1
Rb1 Rb 0.161 0.331 0.125 1
Mg9 Mg 0.662 0.326 0.125 1
Mg10 Mg 0.845 0.673 0.359 1
Mg11 Mg 0.330 0.144 0.874 1
Mg12 Mg 0.817 0.159 0.857 1
Mg13 Mg 0.167 0.833 0.625 1
W1 W 0.198 0.849 0.125 1
Mg14 Mg 0.330 0.144 0.376 1
```



# 3
# PrSn4Rh2

A relaxed structure of PrSn4Rh2 (PBE-GGA, the Materials Project).

Values from the calculation:
ΔH_f (0 K)   -0.63 eV per atom
Calculated volume   617 Å³/cell
Energy   -5.710 eV/atom

```
data_PrSn4Rh2
_space_group_name_H-M_alt 'P 1'
_space_group_IT_number 1
_cell_length_a 4.562
_cell_length_b 7.220
_cell_length_c 18.742
_cell_angle_alpha 90.00
_cell_angle_beta 90.00
_cell_angle_gamma 90.00
loop_
_space_group_symop_operation_xyz
'x,y,z'
loop_
_atom_site_label
_atom_site_type_symbol
_atom_site_fract_x
_atom_site_fract_y
_atom_site_fract_z
_atom_site_occupancy
Sn1 Sn 0.250 0.778 0.695 1
Sn2 Sn 0.250 0.303 0.182 1
Rh1 Rh 0.250 0.482 0.787 1
Sn3 Sn 0.750 0.278 0.805 1
Sn4 Sn 0.750 0.222 0.305 1
Sn5 Sn 0.750 0.136 0.969 1
Pr1 Pr 0.250 0.501 0.358 1
Sn6 Sn 0.750 0.017 0.568 1
Sn7 Sn 0.750 0.364 0.469 1
Pr2 Pr 0.250 0.999 0.858 1
Rh2 Rh 0.750 0.749 0.965 1
Sn8 Sn 0.250 0.983 0.432 1
Sn9 Sn 0.750 0.803 0.318 1
Rh3 Rh 0.750 0.982 0.713 1
Rh4 Rh 0.250 0.251 0.035 1
Sn10 Sn 0.750 0.483 0.068 1
Sn11 Sn 0.250 0.517 0.932 1
Pr3 Pr 0.750 0.499 0.642 1
Sn12 Sn 0.250 0.864 0.031 1
Sn13 Sn 0.750 0.697 0.818 1
Rh5 Rh 0.250 0.249 0.535 1
Sn14 Sn 0.250 0.722 0.195 1
Rh6 Rh 0.250 0.018 0.287 1
Sn15 Sn 0.250 0.636 0.531 1
Sn16 Sn 0.250 0.197 0.682 1
Rh7 Rh 0.750 0.751 0.465 1
Pr4 Pr 0.750 0.001 0.142 1
Rh8 Rh 0.750 0.518 0.213 1
```



# 4
# BaNa3PCO7

A relaxed structure of BaNa3PCO7 (PBE-GGA, the Materials Project).

Values from the calculation:
ΔH_f (0 K)   -2.54 eV per atom
Calculated volume   400 Å³/cell
Energy   -6.414 eV/atom

```
data_BaNa3PCO7
_space_group_name_H-M_alt 'P 1'
_space_group_IT_number 1
_cell_length_a 7.647
_cell_length_b 5.390
_cell_length_c 9.707
_cell_angle_alpha 89.67
_cell_angle_beta 90.00
_cell_angle_gamma 90.00
loop_
_space_group_symop_operation_xyz
'x,y,z'
loop_
_atom_site_label
_atom_site_type_symbol
_atom_site_fract_x
_atom_site_fract_y
_atom_site_fract_z
_atom_site_occupancy
O1 O 0.250 0.469 0.878 1
O2 O 0.750 0.716 0.913 1
Na1 Na 0.477 0.237 0.246 1
Ba1 Ba 0.750 0.760 0.375 1
O3 O 0.250 0.418 0.373 1
Na2 Na 0.523 0.763 0.754 1
O4 O 0.914 0.181 0.679 1
O5 O 0.750 0.248 0.447 1
P1 P 0.250 0.705 0.393 1
C1 C 0.750 0.734 0.047 1
O6 O 0.750 0.952 0.104 1
Na3 Na 0.977 0.763 0.754 1
O7 O 0.750 0.582 0.627 1
Na4 Na 0.750 0.244 0.918 1
C2 C 0.250 0.266 0.953 1
Na5 Na 0.023 0.237 0.246 1
Na6 Na 0.250 0.756 0.082 1
Ba2 Ba 0.250 0.240 0.625 1
O8 O 0.250 0.048 0.896 1
P2 P 0.750 0.295 0.607 1
O9 O 0.250 0.752 0.553 1
O10 O 0.750 0.531 0.122 1
O11 O 0.250 0.284 0.087 1
O12 O 0.414 0.819 0.321 1
O13 O 0.586 0.181 0.679 1
O14 O 0.086 0.819 0.321 1
```



# 5
# EuGa4Au3

A relaxed structure of EuGa4Au3 (PBE-GGA, the Materials Project).

Values from the calculation:
ΔH_f (0 K)   -0.47 eV per atom
Calculated volume   170 Å³/cell
Energy   -4.494 eV/atom

```
data_EuGa4Au3
_space_group_name_H-M_alt 'P 1'
_space_group_IT_number 1
_cell_length_a 4.411
_cell_length_b 4.411
_cell_length_c 8.720
_cell_angle_alpha 90.00
_cell_angle_beta 90.00
_cell_angle_gamma 90.00
loop_
_space_group_symop_operation_xyz
'x,y,z'
loop_
_atom_site_label
_atom_site_type_symbol
_atom_site_fract_x
_atom_site_fract_y
_atom_site_fract_z
_atom_site_occupancy
Ga1 Ga 0.500 0.000 0.175 1
Au1 Au 0.000 0.000 0.000 1
Ga2 Ga 0.000 0.500 0.175 1
Ga3 Ga 0.000 0.500 0.825 1
Eu1 Eu 0.000 0.000 0.500 1
Au2 Au 0.500 0.500 0.658 1
Ga4 Ga 0.500 0.000 0.825 1
Au3 Au 0.500 0.500 0.342 1
```



# 6
# PtPb3

A relaxed structure of PtPb3 (PBE-GGA, the Materials Project).

Values from the calculation:
ΔH_f (0 K)   -0.02 eV per atom
Calculated volume   244 Å³/cell
Energy   -4.322 eV/atom

```
data_PtPb3
_space_group_name_H-M_alt 'P 1'
_space_group_IT_number 1
_cell_length_a 8.523
_cell_length_b 8.523
_cell_length_c 3.886
_cell_angle_alpha 90.00
_cell_angle_beta 90.00
_cell_angle_gamma 120.00
loop_
_space_group_symop_operation_xyz
'x,y,z'
loop_
_atom_site_label
_atom_site_type_symbol
_atom_site_fract_x
_atom_site_fract_y
_atom_site_fract_z
_atom_site_occupancy
Pb1 Pb 0.808 0.616 0.750 1
Pb2 Pb 0.384 0.192 0.750 1
Pb3 Pb 0.808 0.192 0.750 1
Pb4 Pb 0.192 0.808 0.250 1
Pb5 Pb 0.192 0.384 0.250 1
Pb6 Pb 0.616 0.808 0.250 1
Pt1 Pt 0.333 0.667 0.750 1
Pt2 Pt 0.667 0.333 0.250 1
```